Record 1
The following is a DFT calculation (GGA-PBE) of a relaxed SrMg14Si crystal.

```
SrMg14Si
1.0
-0.411 -4.618 4.638
-1.998 -1.358 -5.859
9.594 -3.358 -2.494
Mg Si Sr
14 1 1
Direct
0.159 0.329 0.625
0.167 0.834 0.625
0.339 0.176 0.383
0.339 0.176 0.867
0.665 0.838 0.625
0.828 0.664 0.860
0.847 0.174 0.893
0.339 0.663 0.383
0.339 0.663 0.867
0.642 0.811 0.125
0.828 0.664 0.390
0.665 0.327 0.625
0.642 0.331 0.125
0.847 0.174 0.357
0.205 0.353 0.125
0.150 0.825 0.125
```

Values from the calculation:
final energy: -1.815 eV/atom
space group: Amm2
relative energy among the computed polymorphs: 0 meV/atom
total magnetic moment: 0.0 Bohr magnetons per cell
calculated formation energy: 3 kJ/mol of atoms

Record 2
The following is a DFT calculation (GGA-PBE) of a relaxed Tb2MgSi2 crystal.

```
Tb2MgSi2
1.0
7.206 0.000 0.000
0.000 7.206 0.000
0.000 0.000 4.234
Si Tb Mg
4 4 2
Direct
0.617 0.883 0.000
0.117 0.617 0.000
0.883 0.383 0.000
0.383 0.117 0.000
0.821 0.679 0.500
0.321 0.821 0.500
0.679 0.179 0.500
0.179 0.321 0.500
0.000 0.000 0.000
0.500 0.500 0.000
```

Values from the calculation:
final energy: -5.060 eV/atom
space group: P4/mbm
calculated formation energy: -66 kJ/mol of atoms

Record 3
The following is a DFT calculation (GGA-PBE) of a relaxed Mg14TiSi crystal.

```
Mg14TiSi
1.0
-0.597 4.341 -4.508
1.261 -5.823 -1.565
-9.935 -1.990 -0.600
Mg Ti Si
14 1 1
Direct
0.166 0.833 0.625
0.330 0.166 0.368
0.330 0.664 0.368
0.665 0.334 0.625
0.667 0.331 0.125
0.665 0.832 0.625
0.839 0.170 0.373
0.330 0.166 0.882
0.667 0.836 0.125
0.330 0.664 0.882
0.839 0.170 0.877
0.838 0.669 0.879
0.167 0.334 0.625
0.838 0.669 0.371
0.162 0.331 0.125
0.166 0.833 0.125
```

Values from the calculation:
final energy: -2.187 eV/atom
space group: Amm2
relative energy among the computed polymorphs: 0 meV/atom
total magnetic moment: 0.2 Bohr magnetons per cell
calculated formation energy: 5 kJ/mol of atoms

Record 4
The following is a DFT calculation (GGA-PBE) of a relaxed Mg14TiSi crystal.

```
Mg14TiSi
1.0
-6.069 -1.386 -0.692
4.267 -2.674 -3.724
0.997 -7.699 6.670
Mg Si Ti
14 1 1
Direct
0.833 0.667 0.370
0.328 0.172 0.874
0.170 0.835 0.125
0.843 0.172 0.874
0.843 0.172 0.376
0.328 0.657 0.874
0.328 0.172 0.376
0.665 0.330 0.125
0.668 0.336 0.625
0.164 0.832 0.625
0.668 0.832 0.625
0.328 0.657 0.376
0.665 0.835 0.125
0.833 0.667 0.880
0.167 0.333 0.625
0.167 0.333 0.125
```

Values from the calculation:
final energy: -2.173 eV/atom
space group: P-6m2
relative energy among the computed polymorphs: 14 meV/atom
total magnetic moment: 1.8 Bohr magnetons per cell
calculated formation energy: 6 kJ/mol of atoms

Record 5
The following is a DFT calculation (GGA-PBE) of a relaxed Mg6TiSi crystal.

```
Mg6TiSi
1.0
-1.066 -3.600 -2.965
6.011 -1.851 0.087
-2.065 -6.311 8.404
Mg Si Ti
12 2 2
Direct
0.500 0.000 0.167
0.000 0.500 0.833
0.500 0.500 0.667
0.500 0.747 0.413
0.500 0.753 0.913
0.500 0.253 0.413
0.000 0.000 0.333
0.500 0.247 0.913
0.000 0.253 0.083
0.000 0.753 0.583
0.000 0.247 0.583
0.000 0.747 0.083
0.500 0.000 0.685
0.500 0.500 0.185
0.000 0.000 0.822
0.000 0.500 0.322
```

Values from the calculation:
final energy: -2.791 eV/atom
relative energy among the computed polymorphs: 0 meV/atom
total magnetic moment: 0.7 Bohr magnetons per cell
calculated formation energy: 8 kJ/mol of atoms

Record 6
The following is a DFT calculation (GGA-PBE) of a relaxed Mg6TiSi crystal.

```
Mg6TiSi
1.0
5.013 0.000 0.000
0.000 5.854 0.000
0.000 0.000 10.941
Mg Si Ti
12 2 2
Direct
0.000 0.246 0.082
0.000 0.000 0.328
0.000 0.254 0.582
0.500 0.751 0.421
0.000 0.000 0.825
0.000 0.746 0.582
0.500 0.249 0.421
0.000 0.500 0.828
0.000 0.500 0.325
0.500 0.251 0.921
0.500 0.749 0.921
0.000 0.754 0.082
0.500 0.500 0.168
0.500 0.000 0.668
0.500 0.500 0.673
0.500 0.000 0.173
```

Values from the calculation:
final energy: -2.785 eV/atom
relative energy among the computed polymorphs: 5 meV/atom
total magnetic moment: 1.3 Bohr magnetons per cell
calculated formation energy: 9 kJ/mol of atoms

Record 7
The following is a DFT calculation (GGA-PBE) of a relaxed Tm2MgSi2 crystal.

```
Tm2MgSi2
1.0
0.000 0.000 4.180
7.078 0.000 0.000
0.000 7.078 0.000
Mg Tm Si
2 4 4
Direct
0.000 0.000 0.000
0.000 0.500 0.500
0.500 0.178 0.678
0.500 0.322 0.178
0.500 0.822 0.322
0.500 0.678 0.822
0.000 0.881 0.619
0.000 0.381 0.881
0.000 0.119 0.381
0.000 0.619 0.119
```

Values from the calculation:
final energy: -4.972 eV/atom
space group: P4/mbm
calculated formation energy: -64 kJ/mol of atoms

Record 8
The following is a DFT calculation (GGA-PBE) of a relaxed Mg6VSi crystal.

```
Mg6VSi
1.0
-2.508 3.809 -1.971
-4.946 -3.234 0.045
-2.279 3.624 9.902
Mg V Si
12 2 2
Direct
0.500 0.251 0.918
0.000 0.747 0.585
0.000 0.000 0.830
0.000 0.247 0.085
0.000 0.500 0.330
0.500 0.249 0.418
0.500 0.749 0.918
0.000 0.500 0.828
0.500 0.751 0.418
0.000 0.000 0.328
0.000 0.753 0.085
0.000 0.253 0.585
0.500 0.500 0.669
0.500 0.000 0.169
0.500 0.000 0.668
0.500 0.500 0.168
```

Values from the calculation:
final energy: -2.853 eV/atom
relative energy among the computed polymorphs: 19 meV/atom
total magnetic moment: 5.7 Bohr magnetons per cell
calculated formation energy: 16 kJ/mol of atoms

Record 9
The following is a DFT calculation (GGA-PBE) of a relaxed Mg14VSi crystal.

```
Mg14VSi
1.0
-6.227 -0.129 -0.592
3.508 -2.924 -4.144
-0.363 -8.471 5.671
Mg Si V
14 1 1
Direct
0.329 0.165 0.366
0.329 0.665 0.366
0.329 0.665 0.884
0.167 0.833 0.625
0.167 0.334 0.625
0.329 0.165 0.884
0.838 0.669 0.878
0.839 0.169 0.876
0.669 0.333 0.125
0.665 0.333 0.625
0.839 0.169 0.374
0.669 0.836 0.125
0.838 0.669 0.372
0.665 0.832 0.625
0.164 0.832 0.125
0.164 0.332 0.125
```

Values from the calculation:
final energy: -2.219 eV/atom
space group: Amm2
relative energy among the computed polymorphs: 0 meV/atom
total magnetic moment: 3.4 Bohr magnetons per cell
calculated formation energy: 9 kJ/mol of atoms

Record 10
The following is a DFT calculation (GGA-PBE) of a relaxed Mg6VSi crystal.

```
Mg6VSi
1.0
-1.082 4.199 -2.211
-5.879 -0.523 1.885
2.375 5.283 8.873
Mg Si V
12 2 2
Direct
0.500 0.758 0.912
0.000 0.256 0.085
0.000 0.744 0.085
0.000 0.756 0.585
0.000 0.244 0.585
0.500 0.500 0.667
0.500 0.242 0.912
0.000 0.500 0.834
0.500 0.000 0.167
0.500 0.258 0.412
0.000 0.000 0.334
0.500 0.742 0.412
0.500 0.000 0.681
0.500 0.500 0.181
0.000 0.500 0.324
0.000 0.000 0.824
```

Values from the calculation:
final energy: -2.872 eV/atom
relative energy among the computed polymorphs: 0 meV/atom
total magnetic moment: 5.9 Bohr magnetons per cell
calculated formation energy: 15 kJ/mol of atoms

Record 11
The following is a DFT calculation (GGA-PBE) of a relaxed Mg14VSi crystal.

```
Mg14VSi
1.0
6.223 0.000 0.000
-3.111 5.389 0.000
0.000 0.000 10.241
Mg V Si
14 1 1
Direct
0.330 0.660 0.375
0.666 0.332 0.125
0.667 0.335 0.625
0.840 0.170 0.375
0.330 0.660 0.875
0.840 0.170 0.875
0.666 0.834 0.125
0.833 0.667 0.374
0.833 0.667 0.876
0.168 0.834 0.125
0.667 0.833 0.625
0.330 0.170 0.875
0.165 0.833 0.625
0.330 0.170 0.375
0.167 0.333 0.125
0.167 0.333 0.625
```

Values from the calculation:
final energy: -2.215 eV/atom
space group: P-6m2
relative energy among the computed polymorphs: 5 meV/atom
total magnetic moment: 3.7 Bohr magnetons per cell
calculated formation energy: 9 kJ/mol of atoms

Record 12
The following is a DFT calculation (GGA-PBE) of a relaxed Mg14SiW crystal.

```
Mg14SiW
1.0
-0.902 -1.873 -5.835
0.287 -4.129 4.432
-9.998 0.718 1.316
Mg W Si
14 1 1
Direct
0.839 0.169 0.875
0.669 0.335 0.125
0.328 0.667 0.361
0.844 0.672 0.369
0.844 0.672 0.881
0.168 0.334 0.625
0.839 0.169 0.375
0.328 0.162 0.361
0.664 0.831 0.625
0.669 0.834 0.125
0.166 0.833 0.625
0.328 0.162 0.889
0.664 0.332 0.625
0.328 0.667 0.889
0.162 0.831 0.125
0.159 0.330 0.125
```

Values from the calculation:
final energy: -2.388 eV/atom
space group: Amm2
relative energy among the computed polymorphs: 14 meV/atom
total magnetic moment: 0.0 Bohr magnetons per cell
calculated formation energy: 16 kJ/mol of atoms

Record 13
The following is a DFT calculation (GGA-PBE) of a relaxed Mg14SiW crystal.

```
Mg14SiW
1.0
6.194 0.000 0.000
-3.097 5.364 0.000
0.000 0.000 9.990
Mg Si W
14 1 1
Direct
0.326 0.653 0.872
0.326 0.174 0.378
0.833 0.667 0.377
0.667 0.833 0.125
0.667 0.334 0.125
0.168 0.834 0.625
0.166 0.833 0.125
0.666 0.332 0.625
0.326 0.653 0.378
0.847 0.174 0.378
0.666 0.834 0.625
0.833 0.667 0.873
0.326 0.174 0.872
0.847 0.174 0.872
0.167 0.333 0.125
0.167 0.333 0.625
```

Values from the calculation:
final energy: -2.402 eV/atom
space group: P-6m2
relative energy among the computed polymorphs: 0 meV/atom
total magnetic moment: 0.6 Bohr magnetons per cell
calculated formation energy: 14 kJ/mol of atoms

Record 14
The following is a DFT calculation (GGA-PBE) of a relaxed Y2MgSi2 crystal.

```
Y2MgSi2
1.0
-4.630 5.080 2.053
1.381 -1.519 6.873
3.126 2.848 0.002
Si Y Mg
4 4 2
Direct
0.882 0.382 0.000
0.618 0.882 0.000
0.118 0.618 0.000
0.382 0.118 0.000
0.321 0.821 0.500
0.179 0.321 0.500
0.679 0.179 0.500
0.821 0.679 0.500
0.000 0.000 0.000
0.500 0.500 0.000
```

Values from the calculation:
final energy: -5.809 eV/atom
space group: P4/mbm
calculated formation energy: -68 kJ/mol of atoms

Record 15
The following is a DFT calculation (GGA-PBE) of a relaxed YMg6Si crystal.

```
YMg6Si
1.0
5.083 0.000 0.000
0.000 6.063 0.000
0.000 0.000 11.682
Y Mg Si
2 12 2
Direct
0.500 0.500 0.677
0.500 0.000 0.177
0.000 0.747 0.077
0.500 0.750 0.425
0.500 0.250 0.925
0.000 0.500 0.320
0.000 0.753 0.577
0.500 0.750 0.925
0.000 0.247 0.577
0.500 0.250 0.425
0.000 0.253 0.077
0.000 0.500 0.839
0.000 0.000 0.339
0.000 0.000 0.820
0.500 0.000 0.661
0.500 0.500 0.161
```

Values from the calculation:
final energy: -2.721 eV/atom
relative energy among the computed polymorphs: 0 meV/atom
total magnetic moment: 0.0 Bohr magnetons per cell
calculated formation energy: -2 kJ/mol of atoms

Record 16
The following is a DFT calculation (GGA-PBE) of a relaxed YMg14Si crystal.

```
YMg14Si
1.0
6.398 0.000 0.000
-3.199 5.541 0.000
0.000 0.000 10.318
Mg Si Y
14 1 1
Direct
0.833 0.667 0.884
0.833 0.667 0.366
0.178 0.839 0.125
0.330 0.660 0.384
0.330 0.660 0.866
0.840 0.170 0.384
0.330 0.170 0.384
0.161 0.830 0.625
0.670 0.830 0.625
0.330 0.170 0.866
0.840 0.170 0.866
0.661 0.322 0.125
0.661 0.839 0.125
0.670 0.339 0.625
0.167 0.333 0.625
0.167 0.333 0.125
```

Values from the calculation:
final energy: -2.122 eV/atom
space group: P-6m2
relative energy among the computed polymorphs: 38 meV/atom
total magnetic moment: 0.0 Bohr magnetons per cell
calculated formation energy: 2 kJ/mol of atoms

Record 17
The following is a DFT calculation (GGA-PBE) of a relaxed YMg6Si crystal.

```
YMg6Si
1.0
4.950 0.000 0.000
0.000 6.554 0.000
0.000 0.000 11.165
Mg Y Si
12 2 2
Direct
0.500 0.238 0.421
0.500 0.262 0.921
0.000 0.247 0.580
0.000 0.753 0.580
0.500 0.000 0.168
0.500 0.762 0.421
0.000 0.000 0.335
0.000 0.500 0.835
0.500 0.500 0.668
0.000 0.747 0.080
0.000 0.253 0.080
0.500 0.738 0.921
0.000 0.500 0.322
0.000 0.000 0.822
0.500 0.500 0.172
0.500 0.000 0.672
```

Values from the calculation:
final energy: -2.702 eV/atom
relative energy among the computed polymorphs: 19 meV/atom
total magnetic moment: 0.0 Bohr magnetons per cell
calculated formation energy: -1 kJ/mol of atoms

Record 18
The following is a DFT calculation (GGA-PBE) of a relaxed YMg14Si crystal.

```
YMg14Si
1.0
-4.655 3.099 3.188
2.731 -4.902 2.685
7.045 6.238 4.223
Mg Y Si
14 1 1
Direct
0.335 0.671 0.377
0.166 0.333 0.625
0.335 0.164 0.377
0.665 0.830 0.625
0.833 0.166 0.868
0.659 0.834 0.125
0.335 0.164 0.873
0.659 0.324 0.125
0.841 0.670 0.883
0.841 0.670 0.367
0.665 0.335 0.625
0.335 0.671 0.873
0.162 0.831 0.625
0.833 0.166 0.382
0.158 0.329 0.125
0.179 0.839 0.125
```

Values from the calculation:
final energy: -2.160 eV/atom
space group: Amm2
relative energy among the computed polymorphs: 0 meV/atom
total magnetic moment: 0.0 Bohr magnetons per cell
calculated formation energy: -1 kJ/mol of atoms